Density functional theory data (GGA-PBE) for InGaAg2S4 after structural relaxation. Values from VASP.

Output
Calculated total energy   -63.45 eV per cell
Mass density   4.65 Mg/m³
Symmetry   I-4
Energy of formation   -0.718 eV per atom

Quantum ESPRESSO input file:
```
&SYSTEM
  ibrav = 0, nat = 16, ntyp = 4
/
ATOMIC_SPECIES
In 114.82 In.upf
Ga 69.72 Ga.upf
Ag 107.87 Ag.upf
S 32.06 S.upf
CELL_PARAMETERS angstrom
5.852 0.000 0.000
0.000 5.852 0.000
0.000 0.000 11.032
ATOMIC_POSITIONS crystal
In 0.000 0.000 0.000
In 0.500 0.500 0.500
Ga 0.000 0.500 0.750
Ga 0.500 0.000 0.250
Ag 0.000 0.000 0.500
Ag 0.000 0.500 0.250
Ag 0.500 0.000 0.750
Ag 0.500 0.500 0.000
S 0.227 0.265 0.868
S 0.235 0.727 0.632
S 0.265 0.773 0.132
S 0.273 0.235 0.368
S 0.727 0.765 0.368
S 0.735 0.227 0.132
S 0.765 0.273 0.632
S 0.773 0.735 0.868
```